{
  "formula": "CaHoRh2",
  "functional": "PBE-GGA",
  "state": "relaxed",
  "spacegroup": "Fm-3m, No. 225",
  "formation_energy_ev_per_atom": -0.631,
  "vol_a3_per_atom": 19.858,
  "final_energy_ev_per_atom": -5.961,
  "cell": [[6.8237, 0.0000, 0.0000], [0.0000, 6.8237, 0.0000], [0.0000, 0.0000, 6.8237]],
  "species": ["Ca", "Ca", "Ca", "Ca", "Ho", "Ho", "Ho", "Ho", "Rh", "Rh", "Rh", "Rh", "Rh", "Rh", "Rh", "Rh"],
  "frac_coords": [[0.0000, 0.0000, 0.0000], [0.0000, 0.5000, 0.5000], [0.5000, 0.0000, 0.5000], [0.5000, 0.5000, 0.0000], [0.0000, 0.0000, 0.5000], [0.0000, 0.5000, 0.0000], [0.5000, 0.0000, 0.0000], [0.5000, 0.5000, 0.5000], [0.2500, 0.2500, 0.2500], [0.2500, 0.2500, 0.7500], [0.2500, 0.7500, 0.2500], [0.2500, 0.7500, 0.7500], [0.7500, 0.2500, 0.2500], [0.7500, 0.2500, 0.7500], [0.7500, 0.7500, 0.2500], [0.7500, 0.7500, 0.7500]]
}